[1]
An optimized crystal structure of CaTi2CoO7. Source: the Materials Project, functional PBE with a Hubbard U.

Summary:
* crystal system: monoclinic
* E (MP2020): -716.380 eV for the cell shown
* SG: No. 14
* VASP energy: -664.8 eV for the cell shown
* calculated volume: 12.73 Å³ per atom
* formation energy from the elements: -30.0 eV/f.u.

```
data_CaTi2CoO7
_chemical_formula_sum 'Ca8 Ti16 Co8 O56'
_space_group_name_H-M_alt 'P 1'
_space_group_IT_number 1
_space_group_name_Hall 'P 1'
_cell_length_a 14.7004
_cell_length_b 7.0256
_cell_length_c 11.1689
_cell_angle_alpha 76.17
_cell_angle_beta 90.00
_cell_angle_gamma 90.00
loop_
_atom_site_label
_atom_site_type_symbol
_atom_site_fract_x
_atom_site_fract_y
_atom_site_fract_z
_atom_site_occupancy
Ca1 Ca 0.5054 0.9334 0.7301 1
Ca2 Ca 0.8784 0.6725 0.9743 1
Ca3 Ca 0.3784 0.3275 0.5257 1
Ca4 Ca 0.1216 0.3275 0.0257 1
Ca5 Ca 0.6216 0.6725 0.4743 1
Ca6 Ca 0.9946 0.9334 0.2301 1
Ca7 Ca 0.4946 0.0666 0.2699 1
Ca8 Ca 0.0054 0.0666 0.7699 1
Ti1 Ti 0.8655 0.1640 0.9767 1
Ti2 Ti 0.0114 0.5880 0.6879 1
Ti3 Ti 0.4886 0.5880 0.1879 1
Ti4 Ti 0.9886 0.4120 0.3121 1
Ti5 Ti 0.7120 0.4940 0.7932 1
Ti6 Ti 0.2120 0.5060 0.7068 1
Ti7 Ti 0.2880 0.5060 0.2068 1
Ti8 Ti 0.7880 0.4940 0.2932 1
Ti9 Ti 0.5114 0.4120 0.8121 1
Ti10 Ti 0.1422 0.1271 0.4718 1
Ti11 Ti 0.6422 0.8729 0.0282 1
Ti12 Ti 0.8578 0.8729 0.5282 1
Ti13 Ti 0.3655 0.8360 0.5233 1
Ti14 Ti 0.6345 0.1640 0.4767 1
Ti15 Ti 0.1345 0.8360 0.0233 1
Ti16 Ti 0.3578 0.1271 0.9718 1
Co1 Co 0.6711 0.3781 0.0810 1
Co2 Co 0.1711 0.6219 0.4190 1
Co3 Co 0.3289 0.6219 0.9190 1
Co4 Co 0.8289 0.3781 0.5810 1
Co5 Co 0.7566 0.9941 0.2510 1
Co6 Co 0.2566 0.0059 0.2490 1
Co7 Co 0.2434 0.0059 0.7490 1
Co8 Co 0.7434 0.9941 0.7510 1
O1 O 0.9822 0.2214 0.9607 1
O2 O 0.4822 0.7786 0.5393 1
O3 O 0.0178 0.7786 0.0393 1
O4 O 0.5178 0.2214 0.4607 1
O5 O 0.8473 0.0078 0.8679 1
O6 O 0.3473 0.9922 0.6321 1
O7 O 0.1527 0.9922 0.1321 1
O8 O 0.6527 0.0078 0.3679 1
O9 O 0.8504 0.9968 0.1313 1
O10 O 0.3504 0.0032 0.3687 1
O11 O 0.1496 0.0032 0.8687 1
O12 O 0.6496 0.9968 0.6313 1
O13 O 0.2852 0.3565 0.9359 1
O14 O 0.7852 0.6435 0.5641 1
O15 O 0.7148 0.6435 0.0641 1
O16 O 0.2148 0.3565 0.4359 1
O17 O 0.3544 0.0165 0.1362 1
O18 O 0.8544 0.9835 0.3638 1
O19 O 0.6456 0.9835 0.8638 1
O20 O 0.1456 0.0165 0.6362 1
O21 O 0.3344 0.9246 0.8909 1
O22 O 0.4330 0.6184 0.8256 1
O23 O 0.8344 0.0754 0.6091 1
O24 O 0.1656 0.9246 0.3909 1
O25 O 0.4739 0.2752 0.7076 1
O26 O 0.9739 0.7248 0.7924 1
O27 O 0.5261 0.7248 0.2924 1
O28 O 0.0261 0.2752 0.2076 1
O29 O 0.4713 0.2170 0.9560 1
O30 O 0.9713 0.7830 0.5440 1
O31 O 0.5287 0.7830 0.0440 1
O32 O 0.0287 0.2170 0.4560 1
O33 O 0.8949 0.5700 0.2058 1
O34 O 0.3949 0.4300 0.2942 1
O35 O 0.1051 0.4300 0.7942 1
O36 O 0.6051 0.5700 0.7058 1
O37 O 0.7547 0.2952 0.2166 1
O38 O 0.2547 0.7048 0.2834 1
O39 O 0.2453 0.7048 0.7834 1
O40 O 0.7453 0.2952 0.7166 1
O41 O 0.7059 0.3882 0.4470 1
O42 O 0.2059 0.6118 0.0530 1
O43 O 0.2941 0.6118 0.5530 1
O44 O 0.7941 0.3882 0.9470 1
O45 O 0.7296 0.7348 0.2832 1
O46 O 0.2296 0.2652 0.2168 1
O47 O 0.2704 0.2652 0.7168 1
O48 O 0.7704 0.7348 0.7832 1
O49 O 0.8767 0.4107 0.4215 1
O50 O 0.3767 0.5893 0.0785 1
O51 O 0.1233 0.5893 0.5785 1
O52 O 0.6233 0.4107 0.9215 1
O53 O 0.0670 0.6184 0.3256 1
O54 O 0.5670 0.3816 0.1744 1
O55 O 0.9330 0.3816 0.6744 1
O56 O 0.6656 0.0754 0.1091 1
```

---

[2]
An optimized crystal structure of CaV4Co3O12. Source: the Materials Project, functional PBE with a Hubbard U.

Summary:
* crystal system: triclinic
* E (MP2020): -324.209 eV for the cell shown
* SG: No. 2
* VASP energy: -284.3 eV for the cell shown
* calculated volume: 10.37 Å³ per atom
* formation energy from the elements: -43.1 eV/f.u.

```
data_CaV4Co3O12
_chemical_formula_sum 'Ca2 V8 Co6 O24'
_space_group_name_H-M_alt 'P 1'
_space_group_IT_number 1
_space_group_name_Hall 'P 1'
_cell_length_a 6.4868
_cell_length_b 6.4454
_cell_length_c 10.5457
_cell_angle_alpha 90.66
_cell_angle_beta 89.69
_cell_angle_gamma 109.86
loop_
_atom_site_label
_atom_site_type_symbol
_atom_site_fract_x
_atom_site_fract_y
_atom_site_fract_z
_atom_site_occupancy
Ca1 Ca 0.0000 0.0000 0.0000 1
Ca2 Ca 0.5000 0.5000 0.5000 1
V1 V 0.7490 0.7509 0.2500 1
V2 V 0.2510 0.2491 0.7500 1
V3 V 0.4999 0.9999 0.0000 1
V4 V 0.0001 0.5001 0.5000 1
V5 V 0.0000 0.5001 0.0000 1
V6 V 0.5001 0.9999 0.5000 1
V7 V 0.2482 0.2485 0.2517 1
V8 V 0.7517 0.7516 0.7484 1
Co1 Co 0.7519 0.2486 0.2508 1
Co2 Co 0.2480 0.7515 0.7491 1
Co3 Co 0.0000 0.0001 0.5001 1
Co4 Co 0.2525 0.7490 0.2497 1
Co5 Co 0.7476 0.2510 0.7504 1
Co6 Co 0.5000 0.4999 0.0000 1
O1 O 0.0343 0.3379 0.1529 1
O2 O 0.5315 0.8354 0.6521 1
O3 O 0.4685 0.1645 0.3478 1
O4 O 0.9657 0.6622 0.8472 1
O5 O 0.6614 0.9653 0.1526 1
O6 O 0.1557 0.4649 0.6461 1
O7 O 0.8443 0.5349 0.3539 1
O8 O 0.3384 0.0347 0.8475 1
O9 O 0.3941 0.2040 0.0870 1
O10 O 0.8935 0.7123 0.5906 1
O11 O 0.1069 0.2878 0.4096 1
O12 O 0.6056 0.7959 0.9129 1
O13 O 0.7098 0.8851 0.4043 1
O14 O 0.2109 0.3883 0.9041 1
O15 O 0.7891 0.6117 0.0958 1
O16 O 0.2903 0.1148 0.5958 1
O17 O 0.0635 0.9458 0.2397 1
O18 O 0.5607 0.4494 0.7420 1
O19 O 0.4394 0.5507 0.2581 1
O20 O 0.9363 0.0541 0.7603 1
O21 O 0.2331 0.7528 0.0566 1
O22 O 0.7318 0.2528 0.5569 1
O23 O 0.2682 0.7474 0.4431 1
O24 O 0.7670 0.2470 0.9434 1
```

---

[3]
An optimized crystal structure of Ca3V3Co2O12. Source: the Materials Project, functional PBE with a Hubbard U.

Summary:
* crystal system: cubic
* E (MP2020): -630.648 eV for the cell shown
* SG: No. 230
* VASP energy: -564.2 eV for the cell shown
* calculated volume: 12.44 Å³ per atom
* formation energy from the elements: -50.8 eV/f.u.

```
data_Ca3V3Co2O12
_chemical_formula_sum 'Ca12 V12 Co8 O48'
_space_group_name_H-M_alt 'P 1'
_space_group_IT_number 1
_space_group_name_Hall 'P 1'
_cell_length_a 10.8951
_cell_length_b 10.8951
_cell_length_c 10.8951
_cell_angle_alpha 109.47
_cell_angle_beta 109.47
_cell_angle_gamma 109.47
loop_
_atom_site_label
_atom_site_type_symbol
_atom_site_fract_x
_atom_site_fract_y
_atom_site_fract_z
_atom_site_occupancy
Ca1 Ca 0.2500 0.3750 0.1250 1
Ca2 Ca 0.7500 0.6250 0.8750 1
Ca3 Ca 0.7500 0.1250 0.3750 1
Ca4 Ca 0.1250 0.2500 0.3750 1
Ca5 Ca 0.3750 0.7500 0.1250 1
Ca6 Ca 0.2500 0.8750 0.6250 1
Ca7 Ca 0.8750 0.7500 0.6250 1
Ca8 Ca 0.6250 0.2500 0.8750 1
Ca9 Ca 0.3750 0.1250 0.2500 1
Ca10 Ca 0.6250 0.8750 0.7500 1
Ca11 Ca 0.1250 0.3750 0.7500 1
Ca12 Ca 0.8750 0.6250 0.2500 1
V1 V 0.2500 0.6250 0.3750 1
V2 V 0.7500 0.3750 0.6250 1
V3 V 0.7500 0.8750 0.1250 1
V4 V 0.3750 0.2500 0.6250 1
V5 V 0.6250 0.7500 0.3750 1
V6 V 0.2500 0.1250 0.8750 1
V7 V 0.1250 0.7500 0.8750 1
V8 V 0.8750 0.2500 0.1250 1
V9 V 0.6250 0.3750 0.2500 1
V10 V 0.3750 0.6250 0.7500 1
V11 V 0.8750 0.1250 0.7500 1
V12 V 0.1250 0.8750 0.2500 1
Co1 Co 0.0000 0.0000 0.0000 1
Co2 Co 0.5000 0.0000 0.5000 1
Co3 Co 0.0000 0.5000 0.5000 1
Co4 Co 0.5000 0.0000 0.0000 1
Co5 Co 0.5000 0.5000 0.0000 1
Co6 Co 0.5000 0.5000 0.5000 1
Co7 Co 0.0000 0.0000 0.5000 1
Co8 Co 0.0000 0.5000 0.0000 1
O1 O 0.4827 0.3797 0.2908 1
O2 O 0.5173 0.6203 0.7092 1
O3 O 0.5889 0.1918 0.2092 1
O4 O 0.9111 0.1203 0.6030 1
O5 O 0.2908 0.4827 0.3797 1
O6 O 0.3082 0.9111 0.2908 1
O7 O 0.4111 0.8082 0.7908 1
O8 O 0.0889 0.8797 0.3970 1
O9 O 0.7092 0.5173 0.6203 1
O10 O 0.6918 0.0889 0.7092 1
O11 O 0.0173 0.3082 0.8970 1
O12 O 0.2092 0.5889 0.1918 1
O13 O 0.1203 0.0173 0.2092 1
O14 O 0.9827 0.6918 0.1030 1
O15 O 0.7908 0.4111 0.8082 1
O16 O 0.8797 0.9827 0.7908 1
O17 O 0.6030 0.9111 0.1203 1
O18 O 0.1918 0.4827 0.6030 1
O19 O 0.3970 0.0889 0.8797 1
O20 O 0.8082 0.5173 0.3970 1
O21 O 0.8970 0.0173 0.3082 1
O22 O 0.3797 0.5889 0.8970 1
O23 O 0.1030 0.9827 0.6918 1
O24 O 0.6203 0.4111 0.1030 1
O25 O 0.3797 0.2908 0.4827 1
O26 O 0.5889 0.8970 0.3797 1
O27 O 0.6203 0.7092 0.5173 1
O28 O 0.4111 0.1030 0.6203 1
O29 O 0.1203 0.6030 0.9111 1
O30 O 0.0173 0.2092 0.1203 1
O31 O 0.8797 0.3970 0.0889 1
O32 O 0.9827 0.7908 0.8797 1
O33 O 0.3082 0.8970 0.0173 1
O34 O 0.9111 0.2908 0.3082 1
O35 O 0.6918 0.1030 0.9827 1
O36 O 0.0889 0.7092 0.6918 1
O37 O 0.1918 0.2092 0.5889 1
O38 O 0.4827 0.6030 0.1918 1
O39 O 0.8082 0.7908 0.4111 1
O40 O 0.5173 0.3970 0.8082 1
O41 O 0.2908 0.3082 0.9111 1
O42 O 0.7092 0.6918 0.0889 1
O43 O 0.2092 0.1203 0.0173 1
O44 O 0.7908 0.8797 0.9827 1
O45 O 0.8970 0.3797 0.5889 1
O46 O 0.1030 0.6203 0.4111 1
O47 O 0.6030 0.1918 0.4827 1
O48 O 0.3970 0.8082 0.5173 1
```

---

[4]
An optimized crystal structure of CaV4Co3O12. Source: the Materials Project, functional PBE with a Hubbard U.

Summary:
* crystal system: triclinic
* E (MP2020): -319.434 eV for the cell shown
* SG: No. 1
* VASP energy: -279.5 eV for the cell shown
* calculated volume: 10.37 Å³ per atom
* formation energy from the elements: -40.7 eV/f.u.

```
data_CaV4Co3O12
_chemical_formula_sum 'Ca2 V8 Co6 O24'
_space_group_name_H-M_alt 'P 1'
_space_group_IT_number 1
_space_group_name_Hall 'P 1'
_cell_length_a 7.4731
_cell_length_b 7.4507
_cell_length_c 7.4515
_cell_angle_alpha 90.46
_cell_angle_beta 89.71
_cell_angle_gamma 90.21
loop_
_atom_site_label
_atom_site_type_symbol
_atom_site_fract_x
_atom_site_fract_y
_atom_site_fract_z
_atom_site_occupancy
Ca1 Ca 0.0014 0.0016 0.0004 1
Ca2 Ca 0.4988 0.4985 0.5001 1
V1 V 0.2519 0.2500 0.2492 1
V2 V 0.7484 0.7499 0.7507 1
V3 V 0.2496 0.7484 0.7503 1
V4 V 0.7508 0.2520 0.2496 1
V5 V 0.7499 0.2497 0.7497 1
V6 V 0.2504 0.7505 0.2504 1
V7 V 0.2497 0.2489 0.7484 1
V8 V 0.7506 0.7507 0.2516 1
Co1 Co 0.0004 0.4994 0.4997 1
Co2 Co 0.4992 0.0014 0.4991 1
Co3 Co 0.4997 0.4981 0.0007 1
Co4 Co 0.4999 0.0003 0.0002 1
Co5 Co 0.0035 0.4992 0.0007 1
Co6 Co 0.9998 0.0024 0.4996 1
O1 O 0.0011 0.3008 0.8181 1
O2 O 0.4990 0.8035 0.3158 1
O3 O 0.4991 0.1975 0.6839 1
O4 O 0.0001 0.6979 0.1830 1
O5 O 0.4937 0.7987 0.6865 1
O6 O 0.9930 0.2973 0.1868 1
O7 O 0.0077 0.7006 0.8126 1
O8 O 0.5052 0.2039 0.3140 1
O9 O 0.1832 0.0049 0.7027 1
O10 O 0.6855 0.5065 0.2016 1
O11 O 0.3165 0.4951 0.7974 1
O12 O 0.8127 0.9934 0.2990 1
O13 O 0.3162 0.4998 0.1982 1
O14 O 0.8163 0.0040 0.7008 1
O15 O 0.1810 0.0005 0.2998 1
O16 O 0.6843 0.4953 0.7990 1
O17 O 0.2965 0.1848 0.0056 1
O18 O 0.7981 0.6868 0.5069 1
O19 O 0.2029 0.3150 0.4953 1
O20 O 0.7029 0.8129 0.9921 1
O21 O 0.8017 0.3174 0.5011 1
O22 O 0.3004 0.8165 0.0036 1
O23 O 0.6981 0.1819 0.0000 1
O24 O 0.2008 0.6839 0.4955 1
```

---

[5]
An optimized crystal structure of CaV4Co3O12. Source: the Materials Project, functional PBE with a Hubbard U.

Summary:
* crystal system: triclinic
* E (MP2020): -320.963 eV for the cell shown
* SG: No. 2
* VASP energy: -281.0 eV for the cell shown
* calculated volume: 10.37 Å³ per atom
* formation energy from the elements: -41.4 eV/f.u.

```
data_CaV4Co3O12
_chemical_formula_sum 'Ca2 V8 Co6 O24'
_space_group_name_H-M_alt 'P 1'
_space_group_IT_number 1
_space_group_name_Hall 'P 1'
_cell_length_a 6.4815
_cell_length_b 6.4404
_cell_length_c 10.5558
_cell_angle_alpha 89.48
_cell_angle_beta 90.27
_cell_angle_gamma 109.67
loop_
_atom_site_label
_atom_site_type_symbol
_atom_site_fract_x
_atom_site_fract_y
_atom_site_fract_z
_atom_site_occupancy
Ca1 Ca 0.0032 0.0011 0.9990 1
Ca2 Ca 0.4968 0.4987 0.5010 1
V1 V 0.7501 0.7500 0.2500 1
V2 V 0.2498 0.2498 0.7499 1
V3 V 0.5000 0.0019 0.9990 1
V4 V 0.0001 0.4983 0.5009 1
V5 V 0.0012 0.5005 0.0003 1
V6 V 0.4990 0.9994 0.4999 1
V7 V 0.2502 0.2502 0.2500 1
V8 V 0.7499 0.7497 0.7500 1
Co1 Co 0.2499 0.7500 0.7499 1
Co2 Co 0.4999 0.4966 0.9981 1
Co3 Co 0.0001 0.0033 0.5019 1
Co4 Co 0.2500 0.7501 0.2500 1
Co5 Co 0.7500 0.2501 0.7500 1
Co6 Co 0.7499 0.2499 0.2500 1
O1 O 0.0312 0.3354 0.1461 1
O2 O 0.5357 0.8437 0.6462 1
O3 O 0.4687 0.1646 0.3539 1
O4 O 0.9642 0.6562 0.8539 1
O5 O 0.6715 0.9617 0.1536 1
O6 O 0.1728 0.4735 0.6483 1
O7 O 0.8285 0.5383 0.3464 1
O8 O 0.3271 0.0264 0.8517 1
O9 O 0.3960 0.2098 0.0922 1
O10 O 0.8882 0.7112 0.5990 1
O11 O 0.1039 0.2900 0.4078 1
O12 O 0.6120 0.7891 0.9010 1
O13 O 0.7113 0.8955 0.4094 1
O14 O 0.2089 0.3942 0.9053 1
O15 O 0.7889 0.6047 0.0906 1
O16 O 0.2910 0.1056 0.5947 1
O17 O 0.0658 0.9488 0.2391 1
O18 O 0.5568 0.4355 0.7405 1
O19 O 0.4343 0.5512 0.2608 1
O20 O 0.9430 0.0644 0.7596 1
O21 O 0.2541 0.7584 0.0588 1
O22 O 0.7484 0.2693 0.5560 1
O23 O 0.2463 0.7414 0.4411 1
O24 O 0.7515 0.2310 0.9440 1
```

---

[6]
An optimized crystal structure of CaV4Co3O12. Source: the Materials Project, functional PBE with a Hubbard U.

Summary:
* crystal system: triclinic
* E (MP2020): -163.147 eV for the cell shown
* SG: No. 2
* VASP energy: -143.2 eV for the cell shown
* calculated volume: 10.35 Å³ per atom
* formation energy from the elements: -44.1 eV/f.u.

```
data_CaV4Co3O12
_chemical_formula_sum 'Ca1 V4 Co3 O12'
_space_group_name_H-M_alt 'P 1'
_space_group_IT_number 1
_space_group_name_Hall 'P 1'
_cell_length_a 6.4571
_cell_length_b 6.4331
_cell_length_c 6.4738
_cell_angle_alpha 70.51
_cell_angle_beta 70.25
_cell_angle_gamma 109.14
loop_
_atom_site_label
_atom_site_type_symbol
_atom_site_fract_x
_atom_site_fract_y
_atom_site_fract_z
_atom_site_occupancy
Ca1 Ca 0.0000 0.0000 0.0000 1
V1 V 0.0000 0.5000 0.0000 1
V2 V 0.5000 0.5000 0.5000 1
V3 V 0.5000 0.0000 0.0000 1
V4 V 0.0000 0.0000 0.5000 1
Co1 Co 0.5000 0.0000 0.5000 1
Co2 Co 0.5000 0.5000 0.0000 1
Co3 Co 0.0000 0.5000 0.5000 1
O1 O 0.3034 0.1131 0.1797 1
O2 O 0.6966 0.8869 0.8203 1
O3 O 0.2960 0.4846 0.8191 1
O4 O 0.7040 0.5154 0.1809 1
O5 O 0.8160 0.7061 0.4831 1
O6 O 0.1840 0.2939 0.5169 1
O7 O 0.1834 0.6982 0.1195 1
O8 O 0.8166 0.3018 0.8805 1
O9 O 0.8846 0.1813 0.3005 1
O10 O 0.1154 0.8187 0.6995 1
O11 O 0.5153 0.8092 0.3048 1
O12 O 0.4847 0.1908 0.6952 1
```